Compound: Rb2LiOs2O6
Source: the Materials Project
Functional: PBE
Structure: optimized geometry

Lattice parameters (Å, degrees): 5.558 5.560 8.225 90.15 109.62 119.96
Atoms (fractional coordinates):
Rb1 0.000 0.000 0.000
Rb2 0.423 0.213 0.636
Li1 0.698 0.349 0.047
Os1 0.552 0.777 0.328
Os2 0.897 0.449 0.346
O1 0.113 0.464 0.182
O2 0.323 0.755 0.473
O3 0.533 0.070 0.182
O4 0.718 0.571 0.473
O5 0.719 0.650 0.182
O6 0.902 0.150 0.473

Results
Total moment in μB/f.u.: 1.0
Mass density in Mg/m³: 5.36
Formation energy in kJ/mol of formula units: -1542
Polymorph energy (0 for the lowest one) in kJ/mol of formula units: 133

---

Compound: LiSm2OsO6
Source: the Materials Project
Functional: PBE
Structure: optimized geometry

Lattice parameters (Å, degrees): 5.417 5.824 9.394 90.00 124.47 90.00
Atoms (fractional coordinates):
Li1 0.000 0.000 0.000
Li2 0.000 0.500 0.500
Sm1 0.229 0.075 0.748
Sm2 0.229 0.425 0.248
Sm3 0.771 0.575 0.752
Sm4 0.771 0.925 0.252
Os1 0.500 0.000 0.500
Os2 0.500 0.500 0.000
O1 0.148 0.183 0.448
O2 0.148 0.317 0.948
O3 0.265 0.709 0.441
O4 0.265 0.791 0.941
O5 0.365 0.038 0.256
O6 0.365 0.462 0.756
O7 0.635 0.538 0.244
O8 0.635 0.962 0.744
O9 0.735 0.209 0.059
O10 0.735 0.291 0.559
O11 0.852 0.683 0.052
O12 0.852 0.817 0.552

Results
Total moment in μB/f.u.: 3.0
Mass density in Mg/m³: 8.07
Formation energy in kJ/mol of formula units: -2743

---

Compound: LiPO3
Source: the Materials Project
Functional: PBE
Structure: optimized geometry

Lattice parameters (Å, degrees): 13.313 5.522 19.665 90.00 122.74 90.00
Atoms (fractional coordinates):
Li1 0.000 0.005 0.000
Li2 0.000 0.995 0.500
Li3 0.025 0.033 0.768
Li4 0.025 0.967 0.268
Li5 0.144 0.493 0.077
Li6 0.144 0.507 0.577
Li7 0.261 0.024 0.384
Li8 0.261 0.976 0.884
Li9 0.292 0.007 0.154
Li10 0.292 0.993 0.654
Li11 0.498 0.021 0.000
Li12 0.498 0.979 0.500
Li13 0.526 0.006 0.269
Li14 0.526 0.994 0.769
Li15 0.640 0.461 0.575
Li16 0.640 0.539 0.075
Li17 0.762 0.016 0.884
Li18 0.762 0.984 0.384
Li19 0.789 0.022 0.151
Li20 0.789 0.978 0.651
P1 0.008 0.326 0.144
P2 0.008 0.674 0.644
P3 0.082 0.340 0.410
P4 0.082 0.660 0.910
P5 0.208 0.344 0.744
P6 0.208 0.656 0.244
P7 0.282 0.329 0.010
P8 0.282 0.671 0.510
P9 0.415 0.310 0.335
P10 0.415 0.690 0.835
P11 0.472 0.312 0.621
P12 0.472 0.688 0.121
P13 0.621 0.348 0.928
P14 0.621 0.652 0.428
P15 0.668 0.343 0.225
P16 0.668 0.657 0.725
P17 0.817 0.312 0.532
P18 0.817 0.688 0.032
P19 0.874 0.315 0.818
P20 0.874 0.685 0.318
O1 0.049 0.242 0.090
O2 0.049 0.758 0.590
O3 0.083 0.285 0.485
O4 0.083 0.715 0.985
O5 0.112 0.144 0.372
O6 0.112 0.856 0.872
O7 0.124 0.423 0.228
O8 0.124 0.577 0.728
O9 0.167 0.427 0.926
O10 0.167 0.573 0.426
O11 0.176 0.150 0.782
O12 0.176 0.850 0.282
O13 0.208 0.286 0.669
O14 0.208 0.714 0.169
O15 0.243 0.252 0.066
O16 0.243 0.748 0.566
O17 0.337 0.445 0.814
O18 0.337 0.555 0.314
O19 0.346 0.156 0.988
O20 0.346 0.844 0.488
O21 0.355 0.420 0.542
O22 0.355 0.580 0.042
O23 0.389 0.179 0.261
O24 0.389 0.821 0.761
O25 0.406 0.177 0.399
O26 0.406 0.823 0.899
O27 0.434 0.148 0.664
O28 0.434 0.852 0.164
O29 0.533 0.451 0.178
O30 0.533 0.549 0.678
O31 0.548 0.419 0.375
O32 0.548 0.581 0.875
O33 0.551 0.218 0.594
O34 0.551 0.782 0.094
O35 0.587 0.295 0.988
O36 0.587 0.705 0.488
O37 0.617 0.153 0.874
O38 0.617 0.847 0.374
O39 0.669 0.144 0.277
O40 0.669 0.856 0.777
O41 0.702 0.295 0.165
O42 0.702 0.705 0.665
O43 0.738 0.226 0.560
O44 0.738 0.774 0.060
O45 0.744 0.431 0.783
O46 0.744 0.569 0.283
O47 0.757 0.451 0.975
O48 0.757 0.549 0.475
O49 0.854 0.143 0.489
O50 0.854 0.857 0.989
O51 0.879 0.186 0.752
O52 0.879 0.814 0.252
O53 0.903 0.177 0.892
O54 0.903 0.823 0.392
O55 0.937 0.422 0.609
O56 0.937 0.578 0.109
O57 0.942 0.159 0.166
O58 0.942 0.841 0.666
O59 0.954 0.442 0.340
O60 0.954 0.558 0.840

Results
Total moment in μB/f.u.: 0.0
Mass density in Mg/m³: 2.35
Formation energy in kJ/mol of formula units: -1304